# Li3MnFeCoP3O12, relaxed, DFT PBE with a Hubbard U
data_Li3MnFeCoP3O12
_chemical_formula_sum 'Li12 Mn4 Fe4 Co4 P12 O48'
_space_group_name_H-M_alt 'P 1 m 1'
_space_group_IT_number 6
_cell_length_a 10.457
_cell_length_b 6.091
_cell_length_c 14.299
_cell_angle_alpha 90.00
_cell_angle_beta 90.07
_cell_angle_gamma 90.00
loop_
_space_group_symop_operation_xyz
'x,y,z'
'x,-y,z'
loop_
_atom_site_label
_atom_site_type_symbol
_atom_site_fract_x
_atom_site_fract_y
_atom_site_fract_z
Li1 Li 0.000 0.249 0.000
Li2 Li 0.001 0.250 0.666
Li3 Li 0.497 0.250 0.500
Li4 Li 0.498 0.250 0.834
Li5 Li 0.500 0.250 0.167
Li6 Li 0.999 0.251 0.334
Mn1 Mn 0.219 0.500 0.160
Mn2 Mn 0.718 0.500 0.673
Mn3 Mn 0.780 0.000 0.506
Mn4 Mn 0.780 0.000 0.841
Fe1 Fe 0.219 0.500 0.825
Fe2 Fe 0.717 0.500 0.007
Fe3 Fe 0.717 0.500 0.342
Fe4 Fe 0.779 0.000 0.175
Co1 Co 0.223 0.500 0.492
Co2 Co 0.277 0.000 0.327
Co3 Co 0.280 0.000 0.660
Co4 Co 0.281 0.000 0.994
P1 P 0.094 0.000 0.138
P2 P 0.096 0.000 0.473
P3 P 0.096 0.000 0.806
P4 P 0.402 0.500 0.639
P5 P 0.405 0.500 0.308
P6 P 0.405 0.500 0.972
P7 P 0.589 0.000 0.694
P8 P 0.591 0.000 0.029
P9 P 0.591 0.000 0.359
P10 P 0.903 0.500 0.194
P11 P 0.907 0.500 0.863
P12 P 0.908 0.500 0.527
O1 O 0.040 0.500 0.236
O2 O 0.045 0.500 0.903
O3 O 0.047 0.500 0.567
O4 O 0.098 0.000 0.580
O5 O 0.098 0.000 0.913
O6 O 0.099 0.000 0.246
O7 O 0.164 0.201 0.092
O8 O 0.167 0.202 0.761
O9 O 0.167 0.204 0.428
O10 O 0.330 0.297 0.595
O11 O 0.334 0.296 0.928
O12 O 0.335 0.296 0.264
O13 O 0.402 0.500 0.415
O14 O 0.402 0.500 0.746
O15 O 0.404 0.500 0.080
O16 O 0.451 0.000 0.735
O17 O 0.453 0.000 0.069
O18 O 0.453 0.000 0.401
O19 O 0.539 0.500 0.596
O20 O 0.542 0.500 0.266
O21 O 0.542 0.500 0.931
O22 O 0.593 0.000 0.587
O23 O 0.594 0.000 0.252
O24 O 0.594 0.000 0.921
O25 O 0.660 0.202 0.739
O26 O 0.662 0.203 0.073
O27 O 0.662 0.203 0.404
O28 O 0.833 0.297 0.239
O29 O 0.837 0.298 0.907
O30 O 0.838 0.298 0.573
O31 O 0.901 0.500 0.087
O32 O 0.903 0.500 0.420
O33 O 0.904 0.500 0.755
O34 O 0.955 0.000 0.099
O35 O 0.958 0.000 0.764
O36 O 0.959 0.000 0.430
# * VASP energy: -578.65 eV for the cell shown
# * polymorph energy (0 for the lowest one): 0 meV/atom
# * energy relative to the elements: -2495 meV per atom
# * crystal system: monoclinic
# * total energy after the MP2020 corrections: -633.9 eV for the cell shown

---

# Li3MnFeCoP3O12, relaxed, DFT PBE with a Hubbard U
data_Li3MnFeCoP3O12
_chemical_formula_sum 'Li12 Mn4 Fe4 Co4 P12 O48'
_space_group_name_H-M_alt 'P 1 m 1'
_space_group_IT_number 6
_cell_length_a 10.433
_cell_length_b 6.104
_cell_length_c 14.307
_cell_angle_alpha 90.00
_cell_angle_beta 90.31
_cell_angle_gamma 90.00
loop_
_space_group_symop_operation_xyz
'x,y,z'
'x,-y,z'
loop_
_atom_site_label
_atom_site_type_symbol
_atom_site_fract_x
_atom_site_fract_y
_atom_site_fract_z
Li1 Li 0.000 0.248 0.000
Li2 Li 0.001 0.250 0.332
Li3 Li 0.001 0.251 0.666
Li4 Li 0.505 0.251 0.166
Li5 Li 0.506 0.250 0.500
Li6 Li 0.507 0.250 0.834
Mn1 Mn 0.222 0.000 0.506
Mn2 Mn 0.223 0.000 0.840
Mn3 Mn 0.285 0.500 0.007
Mn4 Mn 0.285 0.500 0.673
Fe1 Fe 0.222 0.000 0.174
Fe2 Fe 0.286 0.500 0.340
Fe3 Fe 0.783 0.500 0.157
Fe4 Fe 0.783 0.500 0.491
Co1 Co 0.721 0.000 0.326
Co2 Co 0.721 0.000 0.994
Co3 Co 0.726 0.000 0.659
Co4 Co 0.788 0.500 0.818
P1 P 0.092 0.500 0.861
P2 P 0.094 0.500 0.527
P3 P 0.095 0.500 0.194
P4 P 0.412 0.000 0.029
P5 P 0.412 0.000 0.359
P6 P 0.415 0.000 0.694
P7 P 0.599 0.500 0.306
P8 P 0.601 0.500 0.639
P9 P 0.602 0.500 0.973
P10 P 0.906 0.000 0.472
P11 P 0.906 0.000 0.806
P12 P 0.907 0.000 0.140
O1 O 0.043 0.000 0.430
O2 O 0.043 0.000 0.763
O3 O 0.045 0.000 0.099
O4 O 0.096 0.500 0.753
O5 O 0.097 0.500 0.087
O6 O 0.099 0.500 0.420
O7 O 0.161 0.298 0.906
O8 O 0.164 0.298 0.572
O9 O 0.166 0.298 0.239
O10 O 0.341 0.201 0.074
O11 O 0.341 0.203 0.403
O12 O 0.344 0.202 0.739
O13 O 0.407 0.000 0.922
O14 O 0.409 0.000 0.252
O15 O 0.409 0.000 0.587
O16 O 0.461 0.500 0.263
O17 O 0.462 0.500 0.597
O18 O 0.463 0.500 0.931
O19 O 0.550 0.000 0.401
O20 O 0.551 0.000 0.070
O21 O 0.553 0.000 0.734
O22 O 0.600 0.500 0.413
O23 O 0.604 0.500 0.081
O24 O 0.605 0.500 0.747
O25 O 0.669 0.294 0.930
O26 O 0.670 0.296 0.595
O27 O 0.671 0.297 0.262
O28 O 0.834 0.201 0.761
O29 O 0.835 0.202 0.427
O30 O 0.836 0.202 0.094
O31 O 0.904 0.000 0.247
O32 O 0.904 0.000 0.579
O33 O 0.905 0.000 0.913
O34 O 0.952 0.500 0.899
O35 O 0.956 0.500 0.234
O36 O 0.956 0.500 0.568
# * VASP energy: -531.31 eV for the cell shown
# * polymorph energy (0 for the lowest one): 564 meV/atom
# * energy relative to the elements: -1931 meV per atom
# * crystal system: monoclinic
# * total energy after the MP2020 corrections: -586.5 eV for the cell shown

---

# Li3MnFeCoP3O12, relaxed, DFT PBE with a Hubbard U
data_Li3MnFeCoP3O12
_chemical_formula_sum 'Li12 Mn4 Fe4 Co4 P12 O48'
_space_group_name_H-M_alt 'P 1 m 1'
_space_group_IT_number 6
_cell_length_a 10.479
_cell_length_b 6.081
_cell_length_c 14.334
_cell_angle_alpha 90.00
_cell_angle_beta 90.39
_cell_angle_gamma 90.00
loop_
_space_group_symop_operation_xyz
'x,y,z'
'x,-y,z'
loop_
_atom_site_label
_atom_site_type_symbol
_atom_site_fract_x
_atom_site_fract_y
_atom_site_fract_z
Li1 Li 0.000 0.248 0.000
Li2 Li 0.002 0.251 0.668
Li3 Li 0.003 0.250 0.336
Li4 Li 0.506 0.249 0.168
Li5 Li 0.506 0.249 0.835
Li6 Li 0.506 0.250 0.501
Mn1 Mn 0.222 0.000 0.174
Mn2 Mn 0.222 0.000 0.839
Mn3 Mn 0.286 0.500 0.006
Mn4 Mn 0.288 0.500 0.671
Fe1 Fe 0.222 0.000 0.505
Fe2 Fe 0.284 0.500 0.339
Fe3 Fe 0.723 0.000 0.662
Fe4 Fe 0.725 0.000 0.995
Co1 Co 0.721 0.000 0.331
Co2 Co 0.782 0.500 0.831
Co3 Co 0.784 0.500 0.496
Co4 Co 0.786 0.500 0.163
P1 P 0.094 0.500 0.862
P2 P 0.097 0.500 0.196
P3 P 0.097 0.500 0.527
P4 P 0.409 0.000 0.362
P5 P 0.410 0.000 0.695
P6 P 0.411 0.000 0.029
P7 P 0.602 0.500 0.308
P8 P 0.602 0.500 0.973
P9 P 0.603 0.500 0.640
P10 P 0.906 0.000 0.141
P11 P 0.906 0.000 0.474
P12 P 0.906 0.000 0.807
O1 O 0.043 0.000 0.100
O2 O 0.044 0.000 0.434
O3 O 0.044 0.000 0.766
O4 O 0.100 0.500 0.754
O5 O 0.101 0.500 0.420
O6 O 0.102 0.500 0.089
O7 O 0.164 0.298 0.907
O8 O 0.167 0.297 0.571
O9 O 0.167 0.299 0.242
O10 O 0.340 0.203 0.407
O11 O 0.341 0.203 0.074
O12 O 0.342 0.203 0.740
O13 O 0.404 0.000 0.255
O14 O 0.404 0.000 0.587
O15 O 0.405 0.000 0.922
O16 O 0.464 0.500 0.268
O17 O 0.464 0.500 0.932
O18 O 0.466 0.500 0.599
O19 O 0.548 0.000 0.403
O20 O 0.549 0.000 0.069
O21 O 0.549 0.000 0.735
O22 O 0.607 0.500 0.080
O23 O 0.607 0.500 0.415
O24 O 0.608 0.500 0.748
O25 O 0.672 0.296 0.263
O26 O 0.672 0.297 0.927
O27 O 0.673 0.297 0.595
O28 O 0.836 0.203 0.095
O29 O 0.836 0.203 0.429
O30 O 0.837 0.205 0.762
O31 O 0.903 0.000 0.248
O32 O 0.904 0.000 0.581
O33 O 0.905 0.000 0.914
O34 O 0.956 0.500 0.902
O35 O 0.958 0.500 0.235
O36 O 0.959 0.500 0.567
# * VASP energy: -578.11 eV for the cell shown
# * polymorph energy (0 for the lowest one): 6 meV/atom
# * energy relative to the elements: -2488 meV per atom
# * crystal system: monoclinic
# * total energy after the MP2020 corrections: -633.3 eV for the cell shown

---

# Li3MnFeCoP3O12, relaxed, DFT PBE with a Hubbard U
data_Li3MnFeCoP3O12
_chemical_formula_sum 'Li12 Mn4 Fe4 Co4 P12 O48'
_space_group_name_H-M_alt 'P 1 m 1'
_space_group_IT_number 6
_cell_length_a 10.476
_cell_length_b 6.078
_cell_length_c 14.297
_cell_angle_alpha 90.00
_cell_angle_beta 90.04
_cell_angle_gamma 90.00
loop_
_space_group_symop_operation_xyz
'x,y,z'
'x,-y,z'
loop_
_atom_site_label
_atom_site_type_symbol
_atom_site_fract_x
_atom_site_fract_y
_atom_site_fract_z
Li1 Li 0.000 0.248 0.000
Li2 Li 0.000 0.249 0.666
Li3 Li 0.001 0.250 0.332
Li4 Li 0.498 0.249 0.832
Li5 Li 0.498 0.250 0.167
Li6 Li 0.498 0.250 0.499
Mn1 Mn 0.279 0.500 0.993
Mn2 Mn 0.718 0.000 0.340
Mn3 Mn 0.780 0.500 0.173
Mn4 Mn 0.781 0.500 0.839
Fe1 Fe 0.279 0.500 0.658
Fe2 Fe 0.718 0.000 0.673
Fe3 Fe 0.719 0.000 0.007
Fe4 Fe 0.781 0.500 0.507
Co1 Co 0.219 0.000 0.493
Co2 Co 0.219 0.000 0.826
Co3 Co 0.222 0.000 0.160
Co4 Co 0.276 0.500 0.326
P1 P 0.094 0.500 0.140
P2 P 0.095 0.500 0.805
P3 P 0.096 0.500 0.472
P4 P 0.402 0.000 0.306
P5 P 0.403 0.000 0.638
P6 P 0.404 0.000 0.971
P7 P 0.590 0.500 0.362
P8 P 0.591 0.500 0.692
P9 P 0.592 0.500 0.026
P10 P 0.907 0.000 0.528
P11 P 0.907 0.000 0.861
P12 P 0.909 0.000 0.193
O1 O 0.044 0.000 0.569
O2 O 0.045 0.000 0.901
O3 O 0.047 0.000 0.233
O4 O 0.094 0.500 0.912
O5 O 0.096 0.500 0.248
O6 O 0.096 0.500 0.580
O7 O 0.164 0.295 0.097
O8 O 0.167 0.296 0.428
O9 O 0.167 0.296 0.761
O10 O 0.331 0.204 0.262
O11 O 0.332 0.202 0.593
O12 O 0.334 0.201 0.924
O13 O 0.398 0.000 0.078
O14 O 0.401 0.000 0.746
O15 O 0.402 0.000 0.413
O16 O 0.452 0.500 0.401
O17 O 0.455 0.500 0.734
O18 O 0.456 0.500 0.070
O19 O 0.539 0.000 0.263
O20 O 0.541 0.000 0.597
O21 O 0.542 0.000 0.931
O22 O 0.592 0.500 0.919
O23 O 0.594 0.500 0.585
O24 O 0.595 0.500 0.255
O25 O 0.661 0.298 0.407
O26 O 0.662 0.297 0.736
O27 O 0.663 0.296 0.070
O28 O 0.835 0.203 0.572
O29 O 0.837 0.202 0.907
O30 O 0.839 0.202 0.239
O31 O 0.902 0.000 0.754
O32 O 0.903 0.000 0.086
O33 O 0.905 0.000 0.420
O34 O 0.957 0.500 0.097
O35 O 0.958 0.500 0.430
O36 O 0.959 0.500 0.761
# * VASP energy: -578.49 eV for the cell shown
# * polymorph energy (0 for the lowest one): 2 meV/atom
# * energy relative to the elements: -2493 meV per atom
# * crystal system: monoclinic
# * total energy after the MP2020 corrections: -633.7 eV for the cell shown

---

# Li3MnFeCoP3O12, relaxed, DFT PBE with a Hubbard U
data_Li3MnFeCoP3O12
_chemical_formula_sum 'Li12 Mn4 Fe4 Co4 P12 O48'
_space_group_name_H-M_alt 'P m n 21'
_space_group_IT_number 31
_cell_length_a 6.085
_cell_length_b 10.473
_cell_length_c 14.293
_cell_angle_alpha 90.00
_cell_angle_beta 90.00
_cell_angle_gamma 90.00
loop_
_space_group_symop_operation_xyz
'x,y,z'
'-x+1/2,-y,z+1/2'
'-x,y,z'
'x+1/2,-y,z+1/2'
loop_
_atom_site_label
_atom_site_type_symbol
_atom_site_fract_x
_atom_site_fract_y
_atom_site_fract_z
Li1 Li 0.249 0.249 0.000
Li2 Li 0.249 0.250 0.666
Li3 Li 0.249 0.749 0.832
Mn1 Mn 0.000 0.468 0.493
Mn2 Mn 0.000 0.969 0.340
Fe1 Fe 0.000 0.470 0.824
Fe2 Fe 0.000 0.968 0.673
Co1 Co 0.000 0.471 0.158
Co2 Co 0.000 0.972 0.006
P1 P 0.000 0.154 0.527
P2 P 0.000 0.156 0.861
P3 P 0.000 0.157 0.192
P4 P 0.000 0.654 0.305
P5 P 0.000 0.656 0.971
P6 P 0.000 0.657 0.640
O1 O 0.000 0.151 0.753
O2 O 0.000 0.152 0.084
O3 O 0.000 0.154 0.420
O4 O 0.000 0.291 0.570
O5 O 0.000 0.295 0.233
O6 O 0.000 0.295 0.900
O7 O 0.000 0.649 0.079
O8 O 0.000 0.654 0.412
O9 O 0.000 0.654 0.747
O10 O 0.000 0.791 0.262
O11 O 0.000 0.793 0.598
O12 O 0.000 0.795 0.933
O13 O 0.202 0.086 0.907
O14 O 0.202 0.582 0.261
O15 O 0.202 0.586 0.926
O16 O 0.203 0.086 0.236
O17 O 0.204 0.083 0.571
O18 O 0.205 0.586 0.596
# * VASP energy: -577.34 eV for the cell shown
# * polymorph energy (0 for the lowest one): 16 meV/atom
# * energy relative to the elements: -2479 meV per atom
# * crystal system: orthorhombic
# * total energy after the MP2020 corrections: -632.6 eV for the cell shown

---

For each record above, in turn, the calculated size of the total moment values are 0.571 0.017 0.571 0.571 0.571 μB per atom.